# 1
# LiB3

Crystalline LiB3 at its relaxed geometry (PBE, the Materials Project). Values from VASP.

Output
crystal system: tetragonal
energy relative to the lowest polymorph listed for this composition: 0 meV/atom

Structure (Quantum ESPRESSO input):
```
&SYSTEM
  ibrav = 0, nat = 16, ntyp = 2
/
ATOMIC_SPECIES
Li 6.94 Li.upf
B 10.81 B.upf
ATOMIC_POSITIONS crystal
Li 0.178 0.322 0.000
Li 0.322 0.822 0.000
Li 0.678 0.178 0.000
Li 0.822 0.678 0.000
B 0.000 0.000 0.206
B 0.000 0.000 0.794
B 0.137 0.840 0.500
B 0.160 0.137 0.500
B 0.340 0.637 0.500
B 0.363 0.340 0.500
B 0.500 0.500 0.206
B 0.500 0.500 0.794
B 0.637 0.660 0.500
B 0.660 0.363 0.500
B 0.840 0.863 0.500
B 0.863 0.160 0.500
CELL_PARAMETERS angstrom
5.981 0.000 0.000
0.000 5.981 0.000
0.000 0.000 4.163
```

# 2
# Li2Lu5B3O13

Crystalline Li2Lu5B3O13 at its relaxed geometry (PBE, the Materials Project). Values from VASP.

Output
corrected total energy (MP2020 scheme): -8.3423 eV/atom
crystal system: monoclinic

Structure (Quantum ESPRESSO input):
```
&SYSTEM
  ibrav = 0, nat = 46, ntyp = 4
/
ATOMIC_SPECIES
Li 6.94 Li.upf
Lu 174.97 Lu.upf
B 10.81 B.upf
O 16.00 O.upf
ATOMIC_POSITIONS crystal
Li 0.113 0.250 0.053
Li 0.253 0.750 0.248
Li 0.747 0.250 0.752
Li 0.887 0.750 0.947
Lu 0.018 0.250 0.302
Lu 0.139 0.250 0.563
Lu 0.314 0.250 0.794
Lu 0.356 0.750 0.999
Lu 0.463 0.750 0.628
Lu 0.537 0.250 0.372
Lu 0.644 0.250 0.001
Lu 0.686 0.750 0.206
Lu 0.861 0.750 0.437
Lu 0.982 0.750 0.698
B 0.090 0.750 0.889
B 0.286 0.750 0.424
B 0.407 0.250 0.183
B 0.593 0.750 0.817
B 0.714 0.250 0.576
B 0.910 0.250 0.111
O 0.014 0.750 0.568
O 0.042 0.250 0.164
O 0.111 0.250 0.704
O 0.122 0.750 0.980
O 0.176 0.750 0.348
O 0.205 0.750 0.852
O 0.264 0.750 0.508
O 0.331 0.250 0.096
O 0.348 0.250 0.253
O 0.352 0.250 0.654
O 0.419 0.250 0.938
O 0.420 0.750 0.416
O 0.449 0.750 0.793
O 0.551 0.250 0.207
O 0.580 0.250 0.584
O 0.581 0.750 0.062
O 0.648 0.750 0.346
O 0.652 0.750 0.747
O 0.669 0.750 0.904
O 0.736 0.250 0.492
O 0.795 0.250 0.148
O 0.824 0.250 0.652
O 0.878 0.250 0.020
O 0.889 0.750 0.296
O 0.958 0.750 0.836
O 0.986 0.250 0.432
CELL_PARAMETERS angstrom
10.073 0.000 0.000
0.000 3.498 0.000
-4.190 0.000 15.095
```

# 3
# LiMg6B

Crystalline LiMg6B at its relaxed geometry (PBE, the Materials Project). Values from VASP.

Output
total magnetization: 0.00 μB per atom
energy relative to the lowest polymorph listed for this composition: 0 meV/atom

Structure (Quantum ESPRESSO input):
```
&SYSTEM
  ibrav = 0, nat = 16, ntyp = 3
/
ATOMIC_SPECIES
Li 6.94 Li.upf
Mg 24.30 Mg.upf
B 10.81 B.upf
ATOMIC_POSITIONS crystal
Li 0.000 0.500 0.330
Li 0.000 0.000 0.830
Mg 0.000 0.279 0.098
Mg 0.000 0.721 0.098
Mg 0.000 0.500 0.839
Mg 0.500 0.233 0.895
Mg 0.500 0.767 0.895
Mg 0.500 0.500 0.655
Mg 0.000 0.779 0.598
Mg 0.000 0.221 0.598
Mg 0.000 0.000 0.339
Mg 0.500 0.733 0.395
Mg 0.500 0.267 0.395
Mg 0.500 0.000 0.155
B 0.500 0.500 0.189
B 0.500 0.000 0.689
CELL_PARAMETERS angstrom
-0.448 3.153 -3.286
-6.192 0.869 1.679
2.885 7.469 6.772
```

# 4
# Li4Mg23B54

Crystalline Li4Mg23B54 at its relaxed geometry (PBE, the Materials Project). Values from VASP.

Output
total magnetization: 0.00 μB per atom
crystal system: hexagonal

Structure (Quantum ESPRESSO input):
```
&SYSTEM
  ibrav = 0, nat = 81, ntyp = 3
/
ATOMIC_SPECIES
Li 6.94 Li.upf
Mg 24.30 Mg.upf
B 10.81 B.upf
ATOMIC_POSITIONS crystal
Li 0.000 0.000 0.056
Li 0.000 0.000 0.167
Li 0.000 0.000 0.833
Li 0.000 0.000 0.944
Mg 0.000 0.000 0.019
Mg 0.000 0.000 0.092
Mg 0.000 0.000 0.130
Mg 0.000 0.000 0.203
Mg 0.000 0.000 0.241
Mg 0.000 0.000 0.278
Mg 0.000 0.000 0.315
Mg 0.000 0.000 0.352
Mg 0.000 0.000 0.389
Mg 0.000 0.000 0.426
Mg 0.000 0.000 0.463
Mg 0.000 0.000 0.500
Mg 0.000 0.000 0.537
Mg 0.000 0.000 0.574
Mg 0.000 0.000 0.611
Mg 0.000 0.000 0.648
Mg 0.000 0.000 0.685
Mg 0.000 0.000 0.722
Mg 0.000 0.000 0.759
Mg 0.000 0.000 0.797
Mg 0.000 0.000 0.870
Mg 0.000 0.000 0.908
Mg 0.000 0.000 0.981
B 0.333 0.667 0.000
B 0.333 0.667 0.037
B 0.333 0.667 0.074
B 0.333 0.667 0.111
B 0.333 0.667 0.148
B 0.333 0.667 0.185
B 0.333 0.667 0.222
B 0.333 0.667 0.259
B 0.333 0.667 0.296
B 0.333 0.667 0.333
B 0.333 0.667 0.370
B 0.333 0.667 0.407
B 0.333 0.667 0.444
B 0.333 0.667 0.481
B 0.333 0.667 0.519
B 0.333 0.667 0.556
B 0.333 0.667 0.593
B 0.333 0.667 0.630
B 0.333 0.667 0.667
B 0.333 0.667 0.704
B 0.333 0.667 0.741
B 0.333 0.667 0.778
B 0.333 0.667 0.815
B 0.333 0.667 0.852
B 0.333 0.667 0.889
B 0.333 0.667 0.926
B 0.333 0.667 0.963
B 0.667 0.333 0.000
B 0.667 0.333 0.037
B 0.667 0.333 0.074
B 0.667 0.333 0.111
B 0.667 0.333 0.148
B 0.667 0.333 0.185
B 0.667 0.333 0.222
B 0.667 0.333 0.259
B 0.667 0.333 0.296
B 0.667 0.333 0.333
B 0.667 0.333 0.370
B 0.667 0.333 0.407
B 0.667 0.333 0.444
B 0.667 0.333 0.481
B 0.667 0.333 0.519
B 0.667 0.333 0.556
B 0.667 0.333 0.593
B 0.667 0.333 0.630
B 0.667 0.333 0.667
B 0.667 0.333 0.704
B 0.667 0.333 0.741
B 0.667 0.333 0.778
B 0.667 0.333 0.815
B 0.667 0.333 0.852
B 0.667 0.333 0.889
B 0.667 0.333 0.926
B 0.667 0.333 0.963
CELL_PARAMETERS angstrom
3.064 0.000 0.000
-1.532 2.654 0.000
0.000 0.000 95.064
```

# 5
# LiMg14B

Crystalline LiMg14B at its relaxed geometry (PBE, the Materials Project). Values from VASP.

Output
total magnetization: 0.00 μB per atom
crystal system: orthorhombic
energy relative to the lowest polymorph listed for this composition: 0 meV/atom

Structure (Quantum ESPRESSO input):
```
&SYSTEM
  ibrav = 0, nat = 16, ntyp = 3
/
ATOMIC_SPECIES
Li 6.94 Li.upf
Mg 24.30 Mg.upf
B 10.81 B.upf
ATOMIC_POSITIONS crystal
Li 0.000 0.000 0.000
Mg 0.000 0.477 0.972
Mg 0.000 0.972 0.477
Mg 0.218 0.194 0.669
Mg 0.218 0.669 0.194
Mg 0.244 0.674 0.674
Mg 0.255 0.175 0.175
Mg 0.500 0.003 0.003
Mg 0.500 0.007 0.512
Mg 0.500 0.505 0.505
Mg 0.500 0.512 0.007
Mg 0.745 0.175 0.175
Mg 0.756 0.674 0.674
Mg 0.782 0.194 0.669
Mg 0.782 0.669 0.194
B 0.000 0.530 0.530
CELL_PARAMETERS angstrom
10.005 0.000 0.000
0.000 3.156 5.378
0.000 -3.156 5.378
```

# 6
# LiMg6B

Crystalline LiMg6B at its relaxed geometry (PBE, the Materials Project). Values from VASP.

Output
total magnetization: 0.00 μB per atom
energy relative to the lowest polymorph listed for this composition: 14 meV/atom

Structure (Quantum ESPRESSO input):
```
&SYSTEM
  ibrav = 0, nat = 16, ntyp = 3
/
ATOMIC_SPECIES
Li 6.94 Li.upf
Mg 24.30 Mg.upf
B 10.81 B.upf
ATOMIC_POSITIONS crystal
Li 0.500 0.000 0.833
Li 0.500 0.500 0.333
Mg 0.500 0.248 0.585
Mg 0.500 0.752 0.585
Mg 0.000 0.240 0.410
Mg 0.000 0.760 0.410
Mg 0.000 0.000 0.669
Mg 0.000 0.000 0.175
Mg 0.500 0.748 0.085
Mg 0.500 0.252 0.085
Mg 0.000 0.740 0.910
Mg 0.000 0.260 0.910
Mg 0.000 0.500 0.169
Mg 0.000 0.500 0.675
B 0.500 0.000 0.334
B 0.500 0.500 0.834
CELL_PARAMETERS angstrom
4.704 0.000 0.000
0.000 6.221 0.000
0.000 0.000 10.633
```

# 7
# LiMg14B

Crystalline LiMg14B at its relaxed geometry (PBE, the Materials Project). Values from VASP.

Output
total magnetization: 0.00 μB per atom
crystal system: hexagonal
energy relative to the lowest polymorph listed for this composition: 19 meV/atom

Structure (Quantum ESPRESSO input):
```
&SYSTEM
  ibrav = 0, nat = 16, ntyp = 3
/
ATOMIC_SPECIES
Li 6.94 Li.upf
Mg 24.30 Mg.upf
B 10.81 B.upf
ATOMIC_POSITIONS crystal
Li 0.000 0.000 0.000
Mg 0.002 0.501 0.000
Mg 0.161 0.322 0.259
Mg 0.161 0.322 0.741
Mg 0.161 0.839 0.259
Mg 0.161 0.839 0.741
Mg 0.499 0.501 0.000
Mg 0.499 0.998 0.000
Mg 0.502 0.004 0.500
Mg 0.502 0.498 0.500
Mg 0.667 0.333 0.246
Mg 0.667 0.333 0.754
Mg 0.678 0.839 0.259
Mg 0.678 0.839 0.741
Mg 0.996 0.498 0.500
B 0.000 0.000 0.500
CELL_PARAMETERS angstrom
6.220 0.000 0.000
-3.110 5.387 0.000
0.000 0.000 10.158
```

# 8
# LiMgBN2

Crystalline LiMgBN2 at its relaxed geometry (PBE, the Materials Project). Values from VASP.

Output
corrected total energy (MP2020 scheme): -6.4580 eV/atom
total magnetization: 0.00 μB per atom
crystal system: tetragonal

Structure (Quantum ESPRESSO input):
```
&SYSTEM
  ibrav = 0, nat = 5, ntyp = 4
/
ATOMIC_SPECIES
Li 6.94 Li.upf
Mg 24.30 Mg.upf
B 10.81 B.upf
N 14.01 N.upf
ATOMIC_POSITIONS crystal
Li 0.000 0.000 0.000
Mg 0.500 0.500 0.000
B 0.250 0.750 0.500
N 0.099 0.599 0.500
N 0.401 0.901 0.500
CELL_PARAMETERS angstrom
-1.910 1.910 4.444
1.910 -1.910 4.444
1.910 1.910 -4.444
```

# 9
# LiMg30BO31

Crystalline LiMg30BO31 at its relaxed geometry (PBE, the Materials Project). Values from VASP.

Output
corrected total energy (MP2020 scheme): -6.2499 eV/atom
total magnetization: 0.00 μB per atom
crystal system: orthorhombic
energy relative to the lowest polymorph listed for this composition: 0 meV/atom

Structure (Quantum ESPRESSO input):
```
&SYSTEM
  ibrav = 0, nat = 63, ntyp = 4
/
ATOMIC_SPECIES
Li 6.94 Li.upf
Mg 24.30 Mg.upf
B 10.81 B.upf
O 16.00 O.upf
ATOMIC_POSITIONS crystal
Li 0.000 0.000 0.000
Mg 0.000 0.000 0.520
Mg 0.000 0.246 0.768
Mg 0.000 0.250 0.258
Mg 0.000 0.500 0.012
Mg 0.000 0.500 0.515
Mg 0.000 0.750 0.258
Mg 0.000 0.754 0.768
Mg 0.243 0.000 0.264
Mg 0.248 0.500 0.263
Mg 0.250 0.250 0.513
Mg 0.250 0.500 0.764
Mg 0.250 0.750 0.513
Mg 0.256 0.253 0.014
Mg 0.256 0.747 0.014
Mg 0.261 0.000 0.762
Mg 0.500 0.000 0.510
Mg 0.500 0.243 0.768
Mg 0.500 0.261 0.262
Mg 0.500 0.500 0.011
Mg 0.500 0.500 0.516
Mg 0.500 0.739 0.262
Mg 0.500 0.757 0.768
Mg 0.739 0.000 0.762
Mg 0.744 0.253 0.014
Mg 0.744 0.747 0.014
Mg 0.750 0.250 0.513
Mg 0.750 0.500 0.764
Mg 0.750 0.750 0.513
Mg 0.752 0.500 0.263
Mg 0.757 0.000 0.264
B 0.500 0.000 0.073
O 0.000 0.000 0.766
O 0.000 0.247 0.013
O 0.000 0.250 0.514
O 0.000 0.500 0.264
O 0.000 0.500 0.763
O 0.000 0.750 0.514
O 0.000 0.753 0.013
O 0.247 0.500 0.014
O 0.249 0.500 0.514
O 0.250 0.000 0.508
O 0.251 0.246 0.766
O 0.251 0.248 0.262
O 0.251 0.752 0.262
O 0.251 0.754 0.766
O 0.338 0.000 0.018
O 0.500 0.000 0.245
O 0.500 0.000 0.738
O 0.500 0.249 0.507
O 0.500 0.269 0.017
O 0.500 0.500 0.268
O 0.500 0.500 0.760
O 0.500 0.731 0.017
O 0.500 0.751 0.507
O 0.662 0.000 0.018
O 0.749 0.246 0.766
O 0.749 0.248 0.262
O 0.749 0.752 0.262
O 0.749 0.754 0.766
O 0.750 0.000 0.508
O 0.751 0.500 0.514
O 0.753 0.500 0.014
CELL_PARAMETERS angstrom
8.404 0.000 0.000
0.000 8.612 0.000
0.000 0.000 8.548
```

# 10
# LiMg30BO32

Crystalline LiMg30BO32 at its relaxed geometry (PBE, the Materials Project). Values from VASP.

Output
corrected total energy (MP2020 scheme): -6.3296 eV/atom
total magnetization: 0.00 μB per atom
crystal system: tetragonal

Structure (Quantum ESPRESSO input):
```
&SYSTEM
  ibrav = 0, nat = 64, ntyp = 4
/
ATOMIC_SPECIES
Li 6.94 Li.upf
Mg 24.30 Mg.upf
B 10.81 B.upf
O 16.00 O.upf
ATOMIC_POSITIONS crystal
Li 0.000 0.000 0.000
Mg 0.000 0.255 0.254
Mg 0.000 0.255 0.746
Mg 0.000 0.500 0.000
Mg 0.000 0.500 0.500
Mg 0.000 0.745 0.254
Mg 0.000 0.745 0.746
Mg 0.246 0.246 0.000
Mg 0.246 0.754 0.000
Mg 0.248 0.248 0.500
Mg 0.248 0.752 0.500
Mg 0.250 0.500 0.249
Mg 0.250 0.500 0.751
Mg 0.255 0.000 0.254
Mg 0.255 0.000 0.746
Mg 0.500 0.000 0.000
Mg 0.500 0.000 0.500
Mg 0.500 0.250 0.249
Mg 0.500 0.250 0.751
Mg 0.500 0.500 0.000
Mg 0.500 0.500 0.500
Mg 0.500 0.750 0.249
Mg 0.500 0.750 0.751
Mg 0.745 0.000 0.254
Mg 0.745 0.000 0.746
Mg 0.750 0.500 0.249
Mg 0.750 0.500 0.751
Mg 0.752 0.248 0.500
Mg 0.752 0.752 0.500
Mg 0.754 0.246 0.000
Mg 0.754 0.754 0.000
B 0.000 0.000 0.500
O 0.000 0.000 0.333
O 0.000 0.000 0.667
O 0.000 0.246 0.000
O 0.000 0.260 0.500
O 0.000 0.500 0.248
O 0.000 0.500 0.752
O 0.000 0.740 0.500
O 0.000 0.754 0.000
O 0.246 0.000 0.000
O 0.247 0.247 0.250
O 0.247 0.247 0.750
O 0.247 0.753 0.250
O 0.247 0.753 0.750
O 0.250 0.500 0.000
O 0.251 0.500 0.500
O 0.260 0.000 0.500
O 0.500 0.000 0.248
O 0.500 0.000 0.752
O 0.500 0.250 0.000
O 0.500 0.251 0.500
O 0.500 0.500 0.249
O 0.500 0.500 0.751
O 0.500 0.749 0.500
O 0.500 0.750 0.000
O 0.740 0.000 0.500
O 0.749 0.500 0.500
O 0.750 0.500 0.000
O 0.753 0.247 0.250
O 0.753 0.247 0.750
O 0.753 0.753 0.250
O 0.753 0.753 0.750
O 0.754 0.000 0.000
CELL_PARAMETERS angstrom
8.541 0.000 0.000
0.000 8.541 0.000
0.000 0.000 8.406
```

Record-wise ΔE_f values, in meV per atom: -237.1 -3525.6 311.3 -108.7 149.2 325.4 168.0 -1085.7 -2916.9 -2971.3
Record-wise VASP energy values, in eV/f.u.: -22.895 -182.942 -15.700 -413.932 -28.605 -15.587 -28.305 -31.568 -372.450 -383.108
Record-wise volume values, in Å³/f.u.: 37.2 265.9 155.3 773.0 339.6 155.6 340.3 64.8 618.6 613.2